Compound: CaLaCrSbO6
Source: Materials Project
Functional: GGA+U
Structure: relaxed

a b c (Å): 5.6860 5.8961 7.8519
angles (deg): 90.01 90.18 89.91
Last column: nearest neighbours and their distance in Å.
Positions (direct):
O 0.0983 0.4610 0.2528  1 Sb 2.04, 1 Cr 2.08
O 0.1852 0.2119 0.5518  1 Sb 2.02, 1 Cr 2.22
O 0.8164 0.7853 0.4466  1 Sb 2.04, 1 Cr 2.24
O 0.3962 0.9659 0.2470  1 Sb 2.03, 1 Cr 2.08
O 0.5983 0.0390 0.7528  1 Sb 2.04, 1 Cr 2.08
O 0.7153 0.3119 0.4492  1 Sb 2.00, 1 Cr 2.23
O 0.6847 0.2875 0.0519  1 Sb 2.02, 1 Cr 2.22
O 0.3170 0.7152 0.9465  1 Sb 2.04, 1 Cr 2.25
O 0.2876 0.6814 0.5514  1 Sb 2.00
O 0.8962 0.5340 0.7471  1 Sb 2.03, 1 Cr 2.08
O 0.2148 0.1884 0.9492  1 Sb 2.00, 1 Cr 2.23
O 0.7881 0.8182 0.0514  1 Sb 2.00
Ca 0.9883 0.0563 0.2513  4 O 2.38-2.47
Ca 0.4885 0.4437 0.7513  4 O 2.38-2.47
Sb 0.0004 0.4971 0.5010  6 O 2.00-2.04
Sb 0.5004 0.0028 0.0009  6 O 2.00-2.04
Cr 0.0005 0.4974 0.9994  6 O 2.08-2.28
Cr 0.5006 0.0026 0.4993  6 O 2.08-2.29
La 0.5114 0.5536 0.2495  5 O 2.41-2.69
La 0.0116 0.9464 0.7495  5 O 2.41-2.69

DFT formation energy = -2.7796 eV/atom
VASP energy = -144.2 eV for the cell shown
E above lowest polymorph = 0.008 eV/atom